w | The following is a DFT calculation (PBE) of CsAc3 after structural relaxation.

POSCAR file:
```
CsAc3
1.0
4.8864 6.4378 2.4196
-8.0304 1.3876 -2.1828
-1.8526 -0.9326 6.2226
Cs Ac
2 6
direct
0.3333 0.6667 0.7500
0.6667 0.3333 0.2500
0.8404 0.1596 0.7500
0.8404 0.6808 0.7500
0.1596 0.8404 0.2500
0.6808 0.8404 0.2500
0.1596 0.3192 0.2500
0.3192 0.1596 0.7500
```

Output
- magnetization (μB/atom) = 0.18
- space-group type = P6_3/mmc, No. 194

x | The following is a DFT calculation (PBE) of CsAc3 after structural relaxation.

POSCAR file:
```
CsAc3
1.0
5.8045 0.0000 0.0000
0.0000 5.8045 0.0000
0.0000 0.0000 5.8045
Ac Cs
3 1
direct
0.5000 0.0000 0.5000
0.0000 0.5000 0.5000
0.5000 0.5000 0.0000
0.0000 0.0000 0.0000
```

Output
- magnetization (μB/atom) = 0.01
- space-group type = Pm-3m, No. 221

Stability verdict: x, ahead by 0.013 eV/atom

w | The following is a DFT calculation (PBE) of Ac3I after structural relaxation.

POSCAR file:
```
Ac3I
1.0
-6.2474 -4.8098 -0.7871
5.1112 -1.0870 5.9563
-3.2793 3.6888 3.4873
Ac I
6 2
direct
0.1688 0.8312 0.2500
0.3376 0.1688 0.7500
0.6624 0.8312 0.2500
0.8312 0.6624 0.7500
0.8312 0.1688 0.7500
0.1688 0.3376 0.2500
0.6667 0.3333 0.2500
0.3333 0.6667 0.7500
```

Output
- magnetization (μB/atom) = 0.00
- space-group type = P6_3/mmc, No. 194

x | The following is a DFT calculation (PBE) of Ac3I after structural relaxation.

POSCAR file:
```
Ac3I
1.0
-0.7759 4.5241 5.0988
-4.5873 4.8466 -1.5921
-0.1297 -6.8546 -0.2564
I Ac
1 3
direct
0.0000 0.0000 0.0000
0.2500 0.7500 0.5000
0.7500 0.2500 0.5000
0.5000 0.5000 0.0000
```

Output
- magnetization (μB/atom) = 0.00
- space-group type = I4/mmm, No. 139

Stability verdict: x, ahead by 0.033 eV/atom

w | The following is a DFT calculation (PBE) of KAc3 after structural relaxation.

POSCAR file:
```
KAc3
1.0
-5.3037 1.2471 1.8178
-2.1893 -2.4255 -4.7236
-0.2580 -5.0547 2.7151
K Ac
1 3
direct
0.0000 0.0000 0.0000
0.5000 0.5000 0.0000
0.0000 0.5000 0.5000
0.5000 0.0000 0.5000
```

Output
- magnetization (μB/atom) = 0.00
- space-group type = Pm-3m, No. 221

x | The following is a DFT calculation (PBE) of KAc3 after structural relaxation.

POSCAR file:
```
KAc3
1.0
0.0000 4.5927 4.5927
4.5927 0.0000 4.5927
4.5927 4.5927 0.0000
Ac K
3 1
direct
0.5000 0.5000 0.5000
0.2500 0.2500 0.2500
0.7500 0.7500 0.7500
0.0000 0.0000 0.0000
```

Output
- magnetization (μB/atom) = 0.00
- space-group type = Fm-3m, No. 225

Stability verdict: w, ahead by 0.008 eV/atom

w | The following is a DFT calculation (PBE) of AcLa3 after structural relaxation.

POSCAR file:
```
AcLa3
1.0
3.8190 -6.6147 0.0000
3.8190 6.6147 0.0000
0.0000 0.0000 6.2578
La Ac
6 2
direct
0.8365 0.1635 0.7500
0.1635 0.3270 0.2500
0.1635 0.8365 0.2500
0.6730 0.8365 0.2500
0.8365 0.6730 0.7500
0.3270 0.1635 0.7500
0.3333 0.6667 0.7500
0.6667 0.3333 0.2500
```

Output
- space-group type = P6_3/mmc, No. 194

x | The following is a DFT calculation (PBE) of AcLa3 after structural relaxation.

POSCAR file:
```
AcLa3
1.0
0.6449 -6.4076 -1.4459
-4.2416 -3.5318 3.6192
-0.8238 5.3217 -3.8163
La Ac
3 1
direct
0.5000 0.5000 0.0000
0.7500 0.2500 0.5000
0.2500 0.7500 0.5000
0.0000 0.0000 0.0000
```

Output
- space-group type = I4/mmm, No. 139

Stability verdict: x, ahead by 0.027 eV/atom